# Na10Ca4Ti4Si5S7O48

Crystalline Na10Ca4Ti4Si5S7O48 at its relaxed geometry (PBE, the Materials Project).

abc: 9.196 15.938 22.734
angles: 91.52 90.35 90.02
Space group P1 (No. 1)
One atom of each set of equivalent atoms:
Na1 0.000 0.000 0.000 [1 per cell]
Na2 0.000 0.339 0.335 [1 per cell]
Na3 0.039 0.683 0.013 [1 per cell]
Na4 0.067 0.331 0.011 [1 per cell]
Na5 0.176 0.492 0.167 [1 per cell]
Na6 0.238 0.839 0.834 [1 per cell]
Na7 0.240 0.501 0.500 [1 per cell]
Na8 0.353 0.658 0.421 [1 per cell]
Na9 0.357 0.000 0.254 [1 per cell]
Na10 0.358 0.991 0.757 [1 per cell]
Na11 0.363 0.332 0.584 [1 per cell]
Na12 0.364 0.331 0.091 [1 per cell]
Na13 0.379 0.656 0.918 [1 per cell]
Na14 0.500 0.500 0.000 [1 per cell]
Na15 0.502 0.836 0.334 [1 per cell]
Na16 0.503 0.168 0.669 [1 per cell]
Na17 0.539 0.182 0.014 [1 per cell]
Na18 0.563 0.495 0.664 [1 per cell]
Na19 0.567 0.832 0.010 [1 per cell]
Na20 0.675 0.336 0.508 [1 per cell]
Na21 0.676 0.992 0.166 [1 per cell]
Na22 0.699 0.683 0.514 [1 per cell]
Na23 0.735 0.001 0.502 [1 per cell]
Na24 0.739 0.338 0.835 [1 per cell]
Na25 0.864 0.499 0.258 [1 per cell]
Na26 0.864 0.832 0.089 [1 per cell]
Na27 0.871 0.158 0.420 [1 per cell]
Na28 0.877 0.503 0.757 [1 per cell]
Na29 0.879 0.153 0.920 [1 per cell]
Na30 0.890 0.827 0.594 [1 per cell]
Ca1 0.361 0.000 0.611 [1 per cell]
Ca2 0.363 0.668 0.278 [1 per cell]
Ca3 0.365 0.340 0.939 [1 per cell]
Ca4 0.367 0.003 0.111 [1 per cell]
Ca5 0.373 0.337 0.442 [1 per cell]
Ca6 0.376 0.670 0.777 [1 per cell]
Ca7 0.864 0.170 0.277 [1 per cell]
Ca8 0.864 0.840 0.939 [1 per cell]
Ca9 0.867 0.503 0.112 [1 per cell]
Ca10 0.873 0.504 0.612 [1 per cell]
Ca11 0.880 0.166 0.777 [1 per cell]
Ca12 0.883 0.839 0.442 [1 per cell]
Ti1 0.347 0.338 0.242 [1 per cell]
Ti2 0.355 0.678 0.569 [1 per cell]
Ti3 0.369 0.019 0.906 [1 per cell]
Ti4 0.383 0.347 0.740 [1 per cell]
Ti5 0.384 0.015 0.404 [1 per cell]
Ti6 0.385 0.670 0.072 [1 per cell]
Ti7 0.848 0.837 0.241 [1 per cell]
Ti8 0.857 0.176 0.576 [1 per cell]
Ti9 0.869 0.521 0.907 [1 per cell]
Ti10 0.871 0.519 0.408 [1 per cell]
Ti11 0.885 0.170 0.072 [1 per cell]
Ti12 0.893 0.843 0.740 [1 per cell]
Si1 0.018 0.654 0.512 [1 per cell]
Si2 0.019 0.317 0.180 [1 per cell]
Si3 0.033 0.988 0.848 [1 per cell]
Si4 0.164 0.509 0.011 [1 per cell]
Si5 0.206 0.488 0.348 [1 per cell]
Si6 0.219 0.152 0.011 [1 per cell]
Si7 0.221 0.817 0.680 [1 per cell]
Si8 0.517 0.817 0.180 [1 per cell]
Si9 0.523 0.152 0.515 [1 per cell]
Si10 0.534 0.490 0.848 [1 per cell]
Si11 0.574 0.510 0.511 [1 per cell]
Si12 0.664 0.009 0.011 [1 per cell]
Si13 0.717 0.320 0.682 [1 per cell]
Si14 0.718 0.987 0.347 [1 per cell]
Si15 0.719 0.653 0.011 [1 per cell]
S1 0.007 0.020 0.174 [1 per cell]
S2 0.009 0.351 0.508 [1 per cell]
S3 0.010 0.688 0.842 [1 per cell]
S4 0.073 0.679 0.174 [1 per cell]
S5 0.075 0.013 0.507 [1 per cell]
S6 0.075 0.344 0.840 [1 per cell]
S7 0.163 0.178 0.673 [1 per cell]
S8 0.166 0.845 0.340 [1 per cell]
S9 0.230 0.852 0.007 [1 per cell]
S10 0.231 0.186 0.341 [1 per cell]
S11 0.231 0.519 0.675 [1 per cell]
S12 0.507 0.520 0.174 [1 per cell]
S13 0.509 0.854 0.506 [1 per cell]
S14 0.511 0.187 0.840 [1 per cell]
S15 0.572 0.844 0.842 [1 per cell]
S16 0.573 0.178 0.173 [1 per cell]
S17 0.664 0.344 0.341 [1 per cell]
S18 0.666 0.679 0.674 [1 per cell]
S19 0.730 0.351 0.006 [1 per cell]
S20 0.730 0.689 0.342 [1 per cell]
S21 0.732 0.020 0.673 [1 per cell]
O1 0.021 0.486 0.349 [1 per cell]
O2 0.031 0.821 0.685 [1 per cell]
O3 0.034 0.154 0.017 [1 per cell]
O4 0.039 0.524 0.954 [1 per cell]
O5 0.060 0.183 0.621 [1 per cell]
O6 0.066 0.851 0.288 [1 per cell]
O7 0.072 0.834 0.001 [1 per cell]
O8 0.073 0.175 0.335 [1 per cell]
O9 0.075 0.488 0.069 [1 per cell]
O10 0.077 0.502 0.670 [1 per cell]
O11 0.082 0.167 0.727 [1 per cell]
O12 0.085 0.833 0.394 [1 per cell]
O13 0.150 0.333 0.897 [1 per cell]
O14 0.158 0.002 0.561 [1 per cell]
O15 0.162 0.005 0.169 [1 per cell]
O16 0.164 0.687 0.119 [1 per cell]
O17 0.165 0.336 0.502 [1 per cell]
O18 0.166 0.667 0.225 [1 per cell]
O19 0.168 0.677 0.836 [1 per cell]
O20 0.173 0.018 0.454 [1 per cell]
O21 0.182 0.347 0.790 [1 per cell]
O22 0.203 0.655 0.517 [1 per cell]
O23 0.210 0.321 0.185 [1 per cell]
O24 0.218 0.986 0.849 [1 per cell]
O25 0.248 0.904 0.060 [1 per cell]
O26 0.252 0.089 0.950 [1 per cell]
O27 0.252 0.258 0.676 [1 per cell]
O28 0.255 0.416 0.288 [1 per cell]
O29 0.256 0.234 0.395 [1 per cell]
O30 0.256 0.925 0.345 [1 per cell]
O31 0.259 0.600 0.019 [1 per cell]
O32 0.261 0.443 0.405 [1 per cell]
O33 0.261 0.569 0.727 [1 per cell]
O34 0.266 0.107 0.667 [1 per cell]
O35 0.267 0.750 0.622 [1 per cell]
O36 0.269 0.779 0.741 [1 per cell]
O37 0.270 0.775 0.335 [1 per cell]
O38 0.272 0.578 0.339 [1 per cell]
O39 0.276 0.910 0.672 [1 per cell]
O40 0.277 0.433 0.003 [1 per cell]
O41 0.278 0.247 0.004 [1 per cell]
O42 0.292 0.110 0.065 [1 per cell]
O43 0.293 0.892 0.954 [1 per cell]
O44 0.296 0.229 0.289 [1 per cell]
O45 0.296 0.558 0.621 [1 per cell]
O46 0.304 0.101 0.345 [1 per cell]
O47 0.309 0.768 0.012 [1 per cell]
O48 0.314 0.434 0.679 [1 per cell]
O49 0.425 0.438 0.176 [1 per cell]
O50 0.438 0.102 0.843 [1 per cell]
O51 0.439 0.769 0.511 [1 per cell]
O52 0.444 0.564 0.119 [1 per cell]
O53 0.446 0.231 0.788 [1 per cell]
O54 0.447 0.894 0.452 [1 per cell]
O55 0.461 0.433 0.503 [1 per cell]
O56 0.467 0.580 0.839 [1 per cell]
O57 0.468 0.778 0.240 [1 per cell]
O58 0.469 0.110 0.572 [1 per cell]
O59 0.469 0.773 0.837 [1 per cell]
O60 0.469 0.913 0.175 [1 per cell]
O61 0.475 0.752 0.121 [1 per cell]
O62 0.476 0.247 0.506 [1 per cell]
O63 0.478 0.104 0.169 [1 per cell]
O64 0.478 0.570 0.226 [1 per cell]
O65 0.479 0.600 0.517 [1 per cell]
O66 0.480 0.084 0.455 [1 per cell]
O67 0.480 0.445 0.905 [1 per cell]
O68 0.482 0.419 0.787 [1 per cell]
O69 0.482 0.923 0.844 [1 per cell]
O70 0.485 0.235 0.896 [1 per cell]
O71 0.485 0.257 0.179 [1 per cell]
O72 0.487 0.907 0.558 [1 per cell]
O73 0.527 0.320 0.685 [1 per cell]
O74 0.528 0.988 0.351 [1 per cell]
O75 0.535 0.654 0.017 [1 per cell]
O76 0.539 0.023 0.955 [1 per cell]
O77 0.559 0.346 0.291 [1 per cell]
O78 0.572 0.333 0.001 [1 per cell]
O79 0.573 0.011 0.667 [1 per cell]
O80 0.573 0.666 0.724 [1 per cell]
O81 0.573 0.680 0.335 [1 per cell]
O82 0.575 0.686 0.618 [1 per cell]
O83 0.576 0.988 0.069 [1 per cell]
O84 0.587 0.334 0.397 [1 per cell]
O85 0.647 0.834 0.898 [1 per cell]
O86 0.662 0.505 0.168 [1 per cell]
O87 0.663 0.488 0.569 [1 per cell]
O88 0.666 0.166 0.225 [1 per cell]
O89 0.666 0.185 0.119 [1 per cell]
O90 0.668 0.840 0.501 [1 per cell]
O91 0.669 0.178 0.835 [1 per cell]
O92 0.675 0.848 0.792 [1 per cell]
O93 0.701 0.522 0.455 [1 per cell]
O94 0.709 0.821 0.186 [1 per cell]
O95 0.712 0.151 0.519 [1 per cell]
O96 0.718 0.486 0.848 [1 per cell]
O97 0.748 0.404 0.059 [1 per cell]
O98 0.752 0.423 0.343 [1 per cell]
O99 0.752 0.590 0.950 [1 per cell]
O100 0.755 0.736 0.397 [1 per cell]
O101 0.756 0.757 0.681 [1 per cell]
O102 0.756 0.917 0.288 [1 per cell]
O103 0.757 0.072 0.725 [1 per cell]
O104 0.758 0.252 0.621 [1 per cell]
O105 0.760 0.100 0.018 [1 per cell]
O106 0.762 0.604 0.670 [1 per cell]
O107 0.764 0.944 0.406 [1 per cell]
O108 0.767 0.272 0.336 [1 per cell]
O109 0.769 0.274 0.739 [1 per cell]
O110 0.769 0.414 0.677 [1 per cell]
O111 0.777 0.079 0.339 [1 per cell]
O112 0.778 0.747 0.004 [1 per cell]
O113 0.778 0.933 0.003 [1 per cell]
O114 0.792 0.610 0.065 [1 per cell]
O115 0.793 0.392 0.954 [1 per cell]
O116 0.795 0.063 0.619 [1 per cell]
O117 0.796 0.735 0.290 [1 per cell]
O118 0.803 0.604 0.343 [1 per cell]
O119 0.803 0.936 0.677 [1 per cell]
O120 0.809 0.268 0.012 [1 per cell]
O121 0.924 0.937 0.176 [1 per cell]
O122 0.929 0.267 0.514 [1 per cell]
O123 0.937 0.603 0.843 [1 per cell]
O124 0.941 0.389 0.455 [1 per cell]
O125 0.944 0.063 0.120 [1 per cell]
O126 0.944 0.733 0.791 [1 per cell]
O127 0.944 0.744 0.506 [1 per cell]
O128 0.953 0.608 0.566 [1 per cell]
O129 0.966 0.078 0.840 [1 per cell]
O130 0.969 0.278 0.240 [1 per cell]
O131 0.970 0.413 0.175 [1 per cell]
O132 0.972 0.273 0.834 [1 per cell]
O133 0.972 0.941 0.502 [1 per cell]
O134 0.975 0.252 0.120 [1 per cell]
O135 0.978 0.070 0.227 [1 per cell]
O136 0.978 0.605 0.169 [1 per cell]
O137 0.981 0.946 0.906 [1 per cell]
O138 0.983 0.091 0.511 [1 per cell]
O139 0.983 0.758 0.180 [1 per cell]
O140 0.984 0.916 0.789 [1 per cell]
O141 0.986 0.402 0.561 [1 per cell]
O142 0.986 0.589 0.450 [1 per cell]
O143 0.987 0.733 0.898 [1 per cell]
O144 0.988 0.424 0.841 [1 per cell]

Output
Crystal system: triclinic
Corrected total energy (MP2020 scheme) (eV/atom): -7.0438


# Na2CaP2O8

Crystalline Na2CaP2O8 at its relaxed geometry (PBE, the Materials Project).

abc: 5.505 7.247 9.164
angles: 90.00 99.04 90.00
Space group P2_1 (No. 4)
One atom of each set of equivalent atoms:
Na1 0.063 0.000 0.242 [2 per cell]
Na2 0.325 0.744 0.616 [2 per cell]
Ca1 0.197 0.520 0.233 [2 per cell]
P1 0.238 0.237 0.576 [2 per cell]
P2 0.306 0.874 0.963 [2 per cell]
O1 0.032 0.710 0.400 [2 per cell]
O2 0.139 0.763 0.843 [2 per cell]
O3 0.190 0.071 0.950 [2 per cell]
O4 0.245 0.265 0.408 [2 per cell]
O5 0.295 0.798 0.119 [2 per cell]
O6 0.340 0.417 0.658 [2 per cell]
O7 0.401 0.071 0.631 [2 per cell]
O8 0.428 0.381 0.070 [2 per cell]

Output
Crystal system: monoclinic
Corrected total energy (MP2020 scheme) (eV/atom): -6.7876


# Sm23Cd4Ir7

Crystalline Sm23Cd4Ir7 at its relaxed geometry (PBE, the Materials Project).

abc: 9.9272 9.9272 22.3146
angles: 90.00 90.00 120.00
Space group P6_3mc (No. 186)
One atom of each set of equivalent atoms:
Sm1 0.0000 0.0000 0.0511 [2 per cell]
Sm2 0.0782 0.5391 0.1386 [6 per cell]
Sm3 0.0810 0.5405 0.4091 [6 per cell]
Sm4 0.1276 0.2553 0.6891 [6 per cell]
Sm5 0.2027 0.4054 0.8356 [6 per cell]
Sm6 0.2070 0.4141 0.0000 [6 per cell]
Sm7 0.2070 0.4140 0.2736 [6 per cell]
Sm8 0.2088 0.4176 0.5430 [6 per cell]
Sm9 0.3333 0.6667 0.6981 [2 per cell]
Cd1 0.0000 0.0000 0.3032 [2 per cell]
Cd2 0.1073 0.2145 0.4166 [6 per cell]
Ir1 0.0415 0.5207 0.7627 [6 per cell]
Ir2 0.1438 0.2876 0.1165 [6 per cell]
Ir3 0.3333 0.6667 0.9167 [2 per cell]

Output
Crystal system: hexagonal


# V3Cu

Crystalline V3Cu at its relaxed geometry (PBE, the Materials Project).

abc: 5.929 5.929 5.929
angles: 90.00 90.00 90.00
Space group Fm-3m (No. 225)
One atom of each set of equivalent atoms:
V1 0.000 0.000 0.000 [4 per cell]
V2 0.250 0.250 0.250 [8 per cell]
Cu1 0.000 0.000 0.500 [4 per cell]

Output
Crystal system: cubic


# RuCl3

Crystalline RuCl3 at its relaxed geometry (PBE, the Materials Project).

abc: 6.5608 6.5608 5.7086
angles: 90.00 90.00 120.00
Space group P6_3/mcm (No. 193)
One atom of each set of equivalent atoms:
Ru1 0.0000 0.0000 0.0000 [2 per cell]
Cl1 0.0000 0.2888 0.2500 [6 per cell]

Output
Crystal system: hexagonal
Corrected total energy (MP2020 scheme) (eV/atom): -4.7101


Energy of formation (eV per atom)
-2.603; -2.552; -0.503; 0.159; -1.005
Uncorrected energy (eV for the cell shown)
-1549.3; -165.5; -382.4; -122.9; -34.0